A geometry-optimized Rb2Zn3S4 structure. Source: Materials Project, functional PBE.

## Properties
For the total energy, the calculation gives -3.435 eV per atom. For the formation energy, the calculation gives -1.18 eV/atom.

The structure in POSCAR format:
```
Rb2Zn3S4
1.0
4.475 -3.654 -0.790
6.880 2.527 5.766
-0.038 -6.206 6.961
Zn S Rb
6 8 4
Direct
0.250 0.973 0.527 Zn
0.750 0.027 0.473 Zn
0.750 0.750 0.750 Zn
0.250 0.527 0.973 Zn
0.750 0.473 0.027 Zn
0.250 0.250 0.250 Zn
0.932 0.481 0.215 S
0.568 0.285 0.019 S
0.068 0.519 0.785 S
0.373 0.215 0.481 S
0.432 0.715 0.981 S
0.627 0.785 0.519 S
0.873 0.981 0.715 S
0.127 0.019 0.285 S
0.735 0.379 0.621 Rb
0.235 0.121 0.879 Rb
0.765 0.879 0.121 Rb
0.265 0.621 0.379 Rb
```

A geometry-optimized GdPt3 structure. Source: Materials Project, functional PBE.

## Properties
For the total energy, the calculation gives -9.015 eV per atom. For the formation energy, the calculation gives -0.94 eV/atom.

The structure in POSCAR format:
```
GdPt3
1.0
4.149 0.000 0.000
0.000 4.149 0.000
0.000 0.000 4.149
Pt Gd
3 1
Direct
0.500 0.500 0.000 Pt
0.500 0.000 0.500 Pt
0.000 0.500 0.500 Pt
0.000 0.000 0.000 Gd
```

A geometry-optimized NaTaNi structure. Source: Materials Project, functional PBE.

## Properties
For the total energy, the calculation gives -4.918 eV per atom. For the formation energy, the calculation gives 1.40 eV/atom.

The structure in POSCAR format:
```
NaTaNi
1.0
-4.171 0.185 1.094
-3.045 -0.300 -3.044
-2.457 -3.540 -0.254
Ta Ni Na
1 1 1
Direct
0.750 0.750 0.750 Ta
0.500 0.500 0.500 Ni
0.000 0.000 0.000 Na
```

A geometry-optimized Nd14Au51 structure. Source: Materials Project, functional PBE.

## Properties
For the total energy, the calculation gives -4.230 eV per atom. For the formation energy, the calculation gives -0.63 eV/atom.

The structure in POSCAR format:
```
Nd14Au51
1.0
-4.437 7.956 9.272
-7.622 -3.166 -10.042
-3.263 -7.439 4.822
Nd Au
14 51
Direct
0.950 0.397 0.000 Nd
0.215 0.266 0.000 Nd
0.333 0.667 0.297 Nd
0.193 0.990 0.500 Nd
0.658 0.133 0.500 Nd
0.448 0.050 0.000 Nd
0.476 0.342 0.500 Nd
0.010 0.202 0.500 Nd
0.798 0.807 0.500 Nd
0.734 0.949 0.000 Nd
0.867 0.524 0.500 Nd
0.333 0.667 0.703 Nd
0.603 0.552 0.000 Nd
0.051 0.785 0.000 Nd
0.776 0.005 0.336 Au
0.892 0.331 0.665 Au
0.667 0.333 0.694 Au
0.000 0.000 0.306 Au
0.472 0.779 0.000 Au
0.669 0.561 0.335 Au
0.000 0.000 0.000 Au
0.776 0.005 0.664 Au
0.714 0.164 0.850 Au
0.450 0.286 0.850 Au
0.667 0.333 0.306 Au
0.955 0.174 0.847 Au
0.826 0.782 0.153 Au
0.140 0.401 0.229 Au
0.140 0.401 0.771 Au
0.409 0.471 0.763 Au
0.439 0.108 0.335 Au
0.221 0.692 0.000 Au
0.308 0.528 0.000 Au
0.228 0.224 0.664 Au
0.062 0.591 0.237 Au
0.261 0.860 0.771 Au
0.272 0.427 0.500 Au
0.450 0.286 0.150 Au
0.836 0.550 0.150 Au
0.511 0.606 0.500 Au
0.062 0.591 0.763 Au
0.000 0.000 0.694 Au
0.836 0.550 0.850 Au
0.667 0.333 0.000 Au
0.529 0.938 0.237 Au
0.218 0.045 0.153 Au
0.218 0.045 0.847 Au
0.714 0.164 0.150 Au
0.394 0.905 0.500 Au
0.995 0.772 0.664 Au
0.669 0.561 0.665 Au
0.955 0.174 0.153 Au
0.155 0.728 0.500 Au
0.529 0.938 0.763 Au
0.599 0.739 0.771 Au
0.228 0.224 0.336 Au
0.826 0.782 0.847 Au
0.261 0.860 0.229 Au
0.892 0.331 0.335 Au
0.409 0.471 0.237 Au
0.573 0.845 0.500 Au
0.439 0.108 0.665 Au
0.095 0.489 0.500 Au
0.599 0.739 0.229 Au
0.995 0.772 0.336 Au
```

A geometry-optimized CsMg14B structure. Source: Materials Project, functional PBE.

## Properties
As for the total magnetic moment: 0.00 μB per cell. For the total energy, the calculation gives -1.570 eV per atom. For the formation energy, the calculation gives 0.30 eV/atom.

The structure in POSCAR format:
```
CsMg14B
1.0
6.723 0.207 0.000
-3.182 5.512 0.000
0.000 0.000 10.369
Mg Cs B
14 1 1
Direct
0.612 0.307 0.125 Mg
0.342 0.156 0.871 Mg
0.818 0.159 0.849 Mg
0.342 0.686 0.871 Mg
0.660 0.823 0.625 Mg
0.847 0.674 0.895 Mg
0.342 0.156 0.379 Mg
0.342 0.686 0.379 Mg
0.847 0.674 0.355 Mg
0.612 0.804 0.125 Mg
0.818 0.159 0.401 Mg
0.161 0.831 0.625 Mg
0.660 0.337 0.625 Mg
0.173 0.337 0.625 Mg
0.101 0.301 0.125 Cs
0.324 0.912 0.125 B
```

A geometry-optimized Sm6Ti4Al43 structure. Source: Materials Project, functional PBE.

## Properties
For the total energy, the calculation gives -4.511 eV per atom. For the formation energy, the calculation gives -0.34 eV/atom.

The structure in POSCAR format:
```
Sm6Ti4Al43
1.0
2.535 5.258 9.517
4.898 -9.721 -2.483
13.229 8.808 -8.390
Sm Al Ti
12 86 8
Direct
0.000 0.470 0.404 Sm
0.000 0.470 0.096 Sm
0.470 0.470 0.596 Sm
0.000 0.530 0.904 Sm
0.530 0.530 0.096 Sm
0.530 0.000 0.904 Sm
0.470 0.000 0.096 Sm
0.470 0.470 0.904 Sm
0.530 0.530 0.404 Sm
0.470 0.000 0.404 Sm
0.530 0.000 0.596 Sm
0.000 0.530 0.596 Sm
0.748 0.748 0.971 Al
0.667 0.333 0.127 Al
0.156 0.000 0.116 Al
0.667 0.333 0.873 Al
0.156 0.000 0.384 Al
0.495 0.247 0.500 Al
0.247 0.495 0.000 Al
0.753 0.247 0.000 Al
0.392 0.158 0.665 Al
0.000 0.844 0.616 Al
0.146 0.146 0.250 Al
0.252 0.000 0.529 Al
0.146 0.000 0.750 Al
0.448 0.850 0.750 Al
0.402 0.850 0.250 Al
0.667 0.333 0.373 Al
0.748 0.000 0.029 Al
0.850 0.448 0.750 Al
0.158 0.392 0.835 Al
0.766 0.158 0.335 Al
0.608 0.766 0.835 Al
0.158 0.392 0.665 Al
0.842 0.608 0.165 Al
0.000 0.748 0.029 Al
0.844 0.844 0.116 Al
0.598 0.150 0.750 Al
0.392 0.158 0.835 Al
0.000 0.156 0.116 Al
0.234 0.392 0.335 Al
0.000 0.844 0.884 Al
0.495 0.247 0.000 Al
0.844 0.000 0.884 Al
0.156 0.156 0.616 Al
0.748 0.748 0.529 Al
0.234 0.842 0.665 Al
0.392 0.234 0.165 Al
0.608 0.842 0.335 Al
0.333 0.667 0.627 Al
0.392 0.234 0.335 Al
0.252 0.252 0.471 Al
0.000 0.748 0.471 Al
0.748 0.000 0.471 Al
0.252 0.000 0.971 Al
0.842 0.608 0.335 Al
0.505 0.753 0.500 Al
0.156 0.156 0.884 Al
0.234 0.842 0.835 Al
0.247 0.495 0.500 Al
0.753 0.505 0.500 Al
0.753 0.247 0.500 Al
0.667 0.333 0.627 Al
0.766 0.608 0.665 Al
0.158 0.766 0.165 Al
0.753 0.505 0.000 Al
0.844 0.000 0.616 Al
0.333 0.667 0.127 Al
0.234 0.392 0.165 Al
0.505 0.753 0.000 Al
0.448 0.598 0.250 Al
0.150 0.598 0.750 Al
0.854 0.854 0.750 Al
0.150 0.552 0.250 Al
0.608 0.766 0.665 Al
0.766 0.608 0.835 Al
0.842 0.234 0.835 Al
0.608 0.842 0.165 Al
0.842 0.234 0.665 Al
0.333 0.667 0.873 Al
0.402 0.552 0.750 Al
0.552 0.150 0.250 Al
0.000 0.854 0.250 Al
0.598 0.448 0.250 Al
0.000 0.156 0.384 Al
0.247 0.753 0.000 Al
0.000 0.252 0.529 Al
0.844 0.844 0.384 Al
0.247 0.753 0.500 Al
0.850 0.402 0.250 Al
0.766 0.158 0.165 Al
0.158 0.766 0.335 Al
0.333 0.667 0.373 Al
0.000 0.252 0.971 Al
0.000 0.146 0.750 Al
0.552 0.402 0.750 Al
0.854 0.000 0.250 Al
0.252 0.252 0.029 Al
0.272 0.272 0.750 Ti
0.000 0.728 0.750 Ti
0.000 0.000 0.000 Ti
0.272 0.000 0.250 Ti
0.728 0.000 0.750 Ti
0.000 0.272 0.250 Ti
0.000 0.000 0.500 Ti
0.728 0.728 0.250 Ti
```

A geometry-optimized Nd3Mn4Sn4 structure. Source: Materials Project, functional PBE.

## Properties
As for the total magnetic moment: 14.92 μB per cell. For the total energy, the calculation gives -6.380 eV per atom. For the formation energy, the calculation gives -0.29 eV/atom.

The structure in POSCAR format:
```
Nd3Mn4Sn4
1.0
-1.750 -4.186 0.869
5.353 -1.203 4.984
-6.179 5.649 2.488
Mn Sn Nd
4 4 3
Direct
0.328 0.514 0.656 Mn
0.672 0.858 0.344 Mn
0.672 0.486 0.344 Mn
0.328 0.142 0.656 Mn
0.500 0.801 0.000 Sn
0.500 0.199 0.000 Sn
0.784 0.284 0.568 Sn
0.216 0.716 0.432 Sn
0.872 0.872 0.745 Nd
0.000 0.500 0.000 Nd
0.128 0.128 0.255 Nd
```

A geometry-optimized TaFe4Si structure. Source: Materials Project, functional PBE.

## Properties
As for the total magnetic moment: 10.87 μB per cell. For the total energy, the calculation gives -8.627 eV per atom. For the formation energy, the calculation gives -0.09 eV/atom.

The structure in POSCAR format:
```
TaFe4Si
1.0
2.394 -4.146 0.000
2.394 4.146 0.000
0.000 0.000 7.515
Fe Ta Si
8 2 2
Direct
0.829 0.171 0.256 Fe
0.171 0.341 0.744 Fe
0.659 0.829 0.744 Fe
0.000 0.000 0.500 Fe
0.171 0.829 0.744 Fe
0.000 0.000 0.000 Fe
0.829 0.659 0.256 Fe
0.341 0.171 0.256 Fe
0.333 0.667 0.079 Ta
0.667 0.333 0.921 Ta
0.667 0.333 0.557 Si
0.333 0.667 0.443 Si
```

A geometry-optimized FeNiPt2 structure. Source: Materials Project, functional PBE.

## Properties
For the total energy, the calculation gives -6.807 eV per atom. For the formation energy, the calculation gives -0.21 eV/atom.

The structure in POSCAR format:
```
FeNiPt2
1.0
0.000 0.000 3.686
3.872 0.000 0.000
0.000 3.872 0.000
Pt Ni Fe
2 1 1
Direct
0.500 0.000 0.500 Pt
0.500 0.500 0.000 Pt
0.000 0.500 0.500 Ni
0.000 0.000 0.000 Fe
```

A geometry-optimized Li4SiPt3 structure. Source: Materials Project, functional PBE.

## Properties
As for the total magnetic moment: 0.01 μB per cell. For the total energy, the calculation gives -4.630 eV per atom. For the formation energy, the calculation gives -0.72 eV/atom.

The structure in POSCAR format:
```
Li4SiPt3
1.0
3.494 2.017 5.500
-3.494 2.017 5.500
0.000 -4.035 5.500
Li Pt Si
8 6 2
Direct
0.156 0.443 0.657 Li
0.275 0.275 0.275 Li
0.443 0.657 0.156 Li
0.557 0.844 0.343 Li
0.844 0.343 0.557 Li
0.657 0.156 0.443 Li
0.725 0.725 0.725 Li
0.343 0.557 0.844 Li
0.000 0.736 0.264 Pt
0.500 0.108 0.892 Pt
0.108 0.892 0.500 Pt
0.264 0.000 0.736 Pt
0.892 0.500 0.108 Pt
0.736 0.264 0.000 Pt
0.899 0.899 0.899 Si
0.101 0.101 0.101 Si
```

A geometry-optimized B2H24PdC8S4F8 structure. Source: Materials Project, functional PBE.

## Properties
As for the total magnetic moment: 2.00 μB per cell. For the total energy, the calculation gives -4.632 eV per atom. For the formation energy, the calculation gives -0.38 eV/atom.

The structure in POSCAR format:
```
B2H24PdC8S4F8
1.0
11.528 0.808 -0.787
0.858 11.160 -0.324
0.935 -0.303 11.478
C H S F B Pd
16 48 8 16 4 2
Direct
0.590 0.471 0.339 C
0.339 0.450 0.400 C
0.026 0.911 0.923 C
0.956 0.960 0.835 C
0.134 0.836 0.915 C
0.342 0.784 0.055 C
0.634 0.564 0.271 C
0.456 0.515 0.676 C
0.770 0.893 0.713 C
0.549 0.544 0.739 C
0.350 0.185 0.358 C
0.168 0.639 0.062 C
0.013 0.331 0.788 C
0.631 0.604 0.686 C
0.592 0.205 0.793 C
0.011 0.043 0.192 C
0.372 0.732 0.131 H
0.143 0.515 0.345 H
0.285 0.702 0.813 H
0.796 0.354 0.329 H
0.030 0.330 0.470 H
0.523 0.464 0.021 H
0.207 0.605 0.143 H
0.701 0.008 0.421 H
0.282 0.087 0.677 H
0.910 0.293 0.136 H
0.060 0.309 0.706 H
0.574 0.121 0.536 H
0.558 0.150 0.724 H
0.761 0.026 0.419 H
0.548 0.405 0.286 H
0.172 0.813 0.714 H
0.953 0.803 0.649 H
0.675 0.905 0.701 H
0.379 0.736 0.975 H
0.515 0.109 0.519 H
0.420 0.894 0.423 H
0.464 0.055 0.006 H
0.376 0.207 0.270 H
0.372 0.986 0.788 H
0.398 0.957 0.405 H
0.612 0.771 0.913 H
0.210 0.588 0.986 H
0.750 0.463 0.471 H
0.557 0.526 0.831 H
0.580 0.655 0.276 H
0.402 0.274 0.036 H
0.036 0.697 0.851 H
0.796 0.611 0.135 H
0.449 0.246 0.075 H
0.487 0.993 0.979 H
0.947 0.205 0.048 H
0.555 0.201 0.880 H
0.781 0.980 0.176 H
0.977 0.895 0.252 H
0.010 0.269 0.465 H
0.364 0.875 0.064 H
0.941 0.288 0.819 H
0.252 0.461 0.661 H
0.951 0.066 0.330 H
0.629 0.753 0.973 H
0.674 0.360 0.919 H
0.073 0.637 0.064 H
0.172 0.957 0.643 H
0.186 0.796 0.058 S
0.321 0.296 0.450 S
0.622 0.643 0.546 S
0.211 0.560 0.427 S
0.705 0.373 0.410 S
0.847 0.821 0.598 S
0.687 0.293 0.766 S
0.807 0.957 0.838 S
0.999 0.979 0.724 F
0.335 0.112 0.735 F
0.446 0.510 0.021 F
0.389 0.903 0.809 F
0.652 0.390 0.002 F
0.975 0.811 0.266 F
0.201 0.019 0.601 F
0.627 0.120 0.203 F
0.889 0.364 0.191 F
0.927 0.095 0.411 F
0.612 0.919 0.211 F
0.120 0.064 0.212 F
0.720 0.636 0.750 F
0.987 0.648 0.810 F
0.358 0.435 0.278 F
0.073 0.382 0.873 F
0.679 0.005 0.197 B
0.347 0.484 0.652 B
0.726 0.579 0.197 B
0.205 0.782 0.809 B
0.474 0.523 0.488 Pd
0.967 0.056 0.038 Pd
```